# Na5Zr2Nb2Si5PO24 | the Materials Project | GGA-PBE | optimized geometry
data_Na5Zr2Nb2Si5PO24
_chemical_formula_sum 'Na15 Zr6 Nb6 Si15 P3 O72'
_space_group_name_H-M_alt 'P 1'
_space_group_IT_number 1
_cell_length_a 9.1112
_cell_length_b 9.1153
_cell_length_c 22.8814
_cell_angle_alpha 89.86
_cell_angle_beta 89.92
_cell_angle_gamma 60.05
loop_
_space_group_symop_operation_xyz
'x,y,z'
loop_
_atom_site_label
_atom_site_fract_x
_atom_site_fract_y
_atom_site_fract_z
_atom_site_occupancy
Na1 0.0000 0.0000 0.0000 1
Na2 0.0001 0.6317 0.2439 1
Na3 0.0068 0.6217 0.7490 1
Na4 0.0328 0.9347 0.6604 1
Na5 0.3049 0.2918 0.6596 1
Na6 0.3298 0.3294 0.3307 1
Na7 0.3326 0.9693 0.5735 1
Na8 0.3350 0.9709 0.0865 1
Na9 0.6350 0.6267 0.9998 1
Na10 0.6547 0.3073 0.9154 1
Na11 0.6642 0.2950 0.4182 1
Na12 0.6674 0.6666 0.6631 1
Na13 0.6979 0.6065 0.3298 1
Na14 0.7004 0.9608 0.8306 1
Na15 0.9738 0.9578 0.3310 1
Zr1 0.0022 0.6299 0.5955 1
Zr2 0.0034 0.6318 0.3964 1
Zr3 0.3321 0.9684 0.7305 1
Zr4 0.3344 0.9604 0.2247 1
Zr5 0.6643 0.2976 0.0598 1
Zr6 0.6711 0.2893 0.5566 1
Nb1 0.0062 0.6255 0.8930 1
Nb2 0.3301 0.9685 0.4334 1
Nb3 0.3342 0.9669 0.9337 1
Nb4 0.6724 0.2956 0.2643 1
Nb5 0.6748 0.2968 0.7704 1
Nb6 0.9978 0.6328 0.1022 1
Si1 0.0062 0.9260 0.4959 1
Si2 0.0068 0.3415 0.9974 1
Si3 0.0433 0.2542 0.3288 1
Si4 0.0441 0.9619 0.8304 1
Si5 0.2880 0.6313 0.9967 1
Si6 0.2977 0.3315 0.4961 1
Si7 0.3326 0.2596 0.8297 1
Si8 0.3374 0.6723 0.3301 1
Si9 0.6230 0.9660 0.3293 1
Si10 0.6260 0.6705 0.8309 1
Si11 0.6681 0.0065 0.6648 1
Si12 0.6702 0.5896 0.1609 1
Si13 0.7119 0.9177 0.9955 1
Si14 0.9584 0.2980 0.6633 1
Si15 0.9605 0.0032 0.1608 1
P1 0.3740 0.3034 0.1636 1
P2 0.3827 0.5826 0.6644 1
P3 0.7010 0.6359 0.4960 1
O1 0.0098 0.4460 0.3363 1
O2 0.0103 0.8022 0.8373 1
O3 0.0291 0.8129 0.5554 1
O4 0.0324 0.4349 0.0543 1
O5 0.1338 0.1272 0.3860 1
O6 0.1387 0.9889 0.8874 1
O7 0.1443 0.9873 0.1668 1
O8 0.1463 0.1284 0.6685 1
O9 0.1515 0.9339 0.7711 1
O10 0.1641 0.6644 0.0531 1
O11 0.1670 0.1715 0.2736 1
O12 0.1674 0.4466 0.8381 1
O13 0.1727 0.1507 0.9888 1
O14 0.1730 0.6455 0.3360 1
O15 0.1809 0.9363 0.4894 1
O16 0.1826 0.4188 0.5555 1
O17 0.1901 0.6119 0.9391 1
O18 0.2000 0.4661 0.1585 1
O19 0.2038 0.4437 0.4381 1
O20 0.2044 0.5985 0.6602 1
O21 0.2958 0.7962 0.2741 1
O22 0.3016 0.8062 0.9892 1
O23 0.3037 0.1792 0.7703 1
O24 0.3145 0.1433 0.4893 1
O25 0.3557 0.1449 0.1685 1
O26 0.3595 0.7626 0.6710 1
O27 0.3647 0.1272 0.8848 1
O28 0.3733 0.7635 0.3863 1
O29 0.4635 0.3231 0.2196 1
O30 0.4697 0.4696 0.7192 1
O31 0.4792 0.4714 0.9986 1
O32 0.4814 0.3177 0.5003 1
O33 0.4846 0.2802 0.1097 1
O34 0.4915 0.5058 0.6104 1
O35 0.4971 0.0006 0.3862 1
O36 0.5025 0.9803 0.6690 1
O37 0.5045 0.7666 0.8882 1
O38 0.5071 0.7769 0.1668 1
O39 0.5088 0.2671 0.8246 1
O40 0.5089 0.4833 0.3223 1
O41 0.5272 0.7986 0.4907 1
O42 0.5267 0.9270 0.9892 1
O43 0.5397 0.9269 0.2736 1
O44 0.5469 0.7880 0.7728 1
O45 0.6305 0.1316 0.6097 1
O46 0.6379 0.1396 0.3222 1
O47 0.6422 0.4839 0.8238 1
O48 0.6476 0.5010 0.1026 1
O49 0.6821 0.4796 0.5021 1
O50 0.6903 0.4674 0.2195 1
O51 0.6920 0.1017 0.7237 1
O52 0.6992 0.1012 0.9994 1
O53 0.7891 0.6585 0.5515 1
O54 0.8056 0.7916 0.0522 1
O55 0.8100 0.6122 0.4411 1
O56 0.8117 0.6562 0.8386 1
O57 0.8131 0.8026 0.3361 1
O58 0.8285 0.8273 0.9372 1
O59 0.8343 0.3232 0.7215 1
O60 0.8369 0.1019 0.2195 1
O61 0.8375 0.3223 0.9999 1
O62 0.8410 0.1141 0.5001 1
O63 0.8411 0.8206 0.6605 1
O64 0.8478 0.5971 0.1573 1
O65 0.8522 0.1328 0.8247 1
O66 0.8553 0.2662 0.3221 1
O67 0.8675 0.2682 0.6083 1
O68 0.8695 0.1132 0.1025 1
O69 0.9731 0.8160 0.1566 1
O70 0.9744 0.4694 0.6610 1
O71 0.9761 0.4652 0.9404 1
O72 0.9807 0.8368 0.4381 1
# **DFT total energy**: -7.65 eV per atom